Computed, not measured: an optimized crystal structure of VBiO4 at the PBE with a Hubbard U level of DFT.

* symmetry: I4_1/amd, No. 141
* total energy: -82.4 eV per cell
* ΔE_f: -2.151 eV per atom

a = 6.167 Å, b = 6.167 Å, c = 6.167 Å
α = 106.16°, β = 106.16°, γ = 116.31°
Fractional coordinates of all 12 atoms:
V  0.875  0.125  0.250
V  0.125  0.875  0.750
Bi  0.625  0.375  0.750
Bi  0.375  0.625  0.250
O  0.135  0.704  0.932
O  0.704  0.135  0.432
O  0.228  0.296  0.432
O  0.704  0.772  0.068
O  0.296  0.228  0.932
O  0.772  0.704  0.568
O  0.296  0.865  0.568
O  0.865  0.296  0.068